Entry 1:
# Na2La2Nb6Si7S5O48

Crystalline Na2La2Nb6Si7S5O48 at its relaxed geometry (PBE, Materials Project).

POSCAR file:
```
Na2La2Nb6Si7S5O48
1.0
18.0061 -0.0606 -0.0051
-4.5278 7.8478 -0.0008
-0.0079 -0.0069 23.4745
O Na Si Nb S La
144 6 21 18 15 6
Cartesian
6.2541 7.4285 21.6684
10.4637 4.9954 20.2138
5.5727 4.1470 9.6114
11.9713 2.6225 17.0931
1.6961 5.1582 20.1929
3.4431 1.0209 12.5030
0.5265 6.8376 1.7089
-2.9351 7.7124 4.6076
2.9131 2.9364 3.2329
14.5474 3.9978 3.1503
5.1306 5.8607 18.7508
16.9251 1.2942 13.5265
0.9013 3.9258 1.6461
3.9305 4.4038 12.4080
-0.6088 6.7069 20.2301
0.8960 6.5665 17.7317
5.3219 1.2800 17.0619
6.1400 2.4564 5.7635
1.5643 5.0910 6.4233
6.2453 2.7816 14.8975
0.9719 1.3383 2.3236
2.9585 2.4955 17.5135
5.3716 1.1383 0.6118
16.6494 1.4716 6.9906
8.1553 3.6800 6.3060
12.8824 0.8022 21.4394
15.3869 2.7306 21.3742
12.5744 6.4980 4.5778
0.7065 1.8257 16.2956
6.4048 7.5114 4.5464
12.5292 3.9063 21.3743
12.4241 3.9434 14.7802
-0.7487 1.6495 4.6177
-3.4448 6.4923 9.9654
5.1759 6.0481 1.8607
8.2534 1.8664 4.7369
14.2140 4.4793 0.7784
10.0734 3.9531 1.8631
12.4313 6.5872 21.1633
5.9910 2.8617 21.8215
8.0878 6.5473 20.3459
14.3389 6.2826 2.2981
12.9424 5.7504 7.1635
5.2096 0.9995 3.0500
0.6917 3.7904 18.0772
11.4357 7.3329 16.3696
0.9617 6.6085 11.1177
1.4696 5.3061 22.8519
-0.7711 3.5943 22.7571
-2.9409 7.5639 21.2048
10.4708 1.4397 18.9308
9.5133 3.6758 11.1057
12.6120 4.0433 12.3278
11.6924 2.7253 3.1618
9.8384 1.5506 2.0736
12.6284 1.2713 5.7523
14.1486 6.1499 18.8800
1.9990 0.5534 7.1868
0.8751 3.7816 11.0706
9.9427 3.9183 8.4776
7.9928 3.8330 13.5956
14.0693 1.0619 3.2130
-0.5076 6.8215 13.6633
3.1050 6.2530 4.6067
8.3630 1.5891 21.7108
12.7661 3.9435 5.2892
14.4046 1.3259 17.5087
1.0305 1.2791 18.9384
-1.7324 5.0091 8.4363
15.1275 2.7905 14.9737
9.5464 1.4984 9.4352
3.5422 6.4732 21.6848
9.6917 1.4136 16.3587
-0.7662 3.6601 5.9331
0.7137 3.7926 8.6059
5.6740 6.5643 9.5894
0.5847 6.6205 8.4664
5.5443 6.3279 16.3727
9.8003 6.4361 11.1073
3.7945 6.3815 14.1796
3.7231 0.9999 14.9187
-1.4567 5.2600 11.0809
-1.0629 6.4383 22.8559
10.6032 5.3062 5.9805
14.9219 2.5038 12.3554
14.1848 4.1011 17.6135
3.9111 6.3125 7.1701
16.4056 0.0425 2.4267
1.5751 5.0318 13.4769
8.1161 1.4635 14.0458
3.4924 3.8640 14.9677
8.2738 3.9227 22.8755
11.8266 2.8066 9.9910
8.2974 6.6084 13.3703
-3.2772 6.2671 16.5029
-1.6800 5.0448 1.8444
8.1017 6.5149 6.3248
7.1669 0.1651 1.8400
10.7093 5.3515 22.8330
0.5740 1.7442 9.8859
2.6766 2.9633 9.6731
10.6324 0.1235 14.0675
3.3653 3.7929 21.7395
9.6721 6.6072 18.1903
12.9750 0.9654 14.9684
-0.7947 3.8700 20.3214
15.1497 2.4999 5.4538
9.8141 6.6943 8.4523
9.5741 6.6459 1.7316
7.2925 4.8697 1.7273
11.8461 7.6448 9.9428
13.9446 0.9796 9.9414
7.8407 1.3858 7.1067
-2.7252 7.7808 13.8481
6.4984 2.2603 12.5215
16.4172 0.1855 18.9225
3.7336 1.2326 5.3409
7.9096 3.8224 20.2058
5.2453 3.9610 0.7090
2.9092 7.5026 9.4184
14.4666 3.7407 9.9876
5.2701 4.0428 17.2186
12.4552 1.2223 12.3638
6.9524 0.5082 18.9317
10.6359 4.8753 13.4545
-1.0191 4.0195 13.3675
11.5983 2.4492 0.7412
7.2618 5.3035 17.7005
-1.7360 5.3066 18.0820
9.6289 3.7000 17.7950
-0.4750 1.6694 21.3354
5.5496 3.9792 3.1310
2.8795 2.4060 0.6627
12.7376 6.0617 13.5859
7.1923 5.3467 10.9985
2.9147 7.6713 16.3370
3.8420 1.0142 21.7561
3.8924 4.0031 5.7270
10.6009 0.2266 7.1807
8.1938 6.6561 22.8080
7.4145 5.2083 8.5611
-0.9650 6.5203 6.0407
14.7667 1.1207 0.6466
5.1988 1.0813 9.6469
13.4377 2.7385 7.9842
17.8933 -0.0584 11.6755
4.4441 2.3995 7.8568
8.8980 -0.0100 23.3342
13.2794 2.6174 19.4684
4.6359 2.4885 19.5224
12.2448 5.4300 5.7735
10.7548 7.7472 17.7403
1.2785 7.4469 9.7435
10.2172 2.9636 9.7838
-1.3594 7.3554 21.5159
2.6537 0.0342 5.8386
1.2759 2.3206 17.6821
7.6506 3.0181 21.6268
2.5584 5.2444 21.5819
3.0799 5.4907 6.0093
7.1095 7.7420 5.9545
-2.5724 5.1498 9.8773
10.4311 2.2499 17.5547
14.8470 0.2512 1.9718
16.0413 2.6334 13.5657
11.5954 5.2002 21.3929
3.1854 4.9384 13.7039
6.3531 0.0854 17.5153
12.2003 0.2618 13.6472
10.2857 7.4302 9.8531
1.8756 2.6292 1.9402
-4.4922 7.8273 3.4368
0.1823 5.3789 19.0044
0.0405 5.2686 12.2997
4.2813 2.6003 16.1384
9.2352 5.2944 7.2936
4.5124 7.7885 8.3864
13.4144 2.3736 4.4350
13.4581 2.4361 11.1344
9.1859 5.2467 0.4525
9.0107 0.0249 15.1646
13.6079 2.3401 16.0854
-0.0035 5.2388 0.5093
9.0040 4.9960 19.0198
4.3649 2.7260 4.4191
9.0377 5.1834 12.2589
0.0073 0.0278 20.0623
-0.1551 5.3475 7.3292
4.3257 2.5336 22.8181
-1.1637 2.9965 21.4316
12.1656 4.7095 13.5547
1.1985 3.0686 9.7923
7.6284 2.3382 5.9826
6.4938 5.2968 9.6831
-3.1774 5.4954 17.7407
10.8074 2.6426 1.9566
7.7089 7.3221 21.5280
14.8474 4.8960 2.0316
7.1741 2.6023 13.7748
5.7090 0.3608 1.8213
3.2245 0.2302 13.7123
16.6388 2.2760 5.7707
5.8331 4.7224 1.8408
5.8070 5.4417 17.5180
4.4297 7.6669 3.6089
13.5889 2.5702 22.9554
8.9096 0.1292 19.9938
13.5655 7.6180 8.3078
4.5383 2.6590 11.2195
17.7795 0.0389 15.2430
```

Summary:
The formation energy comes out at -2778 meV per atom. The value obtained for the energy with MP2020 corrections is -0.59196 Ry/atom. The space group is P1, No. 1. For the size of the total moment, the calculation gives 0.0 μB per formula unit.

=====

Entry 2:
# Na2LaNb3Si4S2O24

Crystalline Na2LaNb3Si4S2O24 at its relaxed geometry (PBE, Materials Project).

POSCAR file:
```
Na2LaNb3Si4S2O24
1.0
-4.2468 1.1857 -7.8816
8.6647 -2.7295 0.1054
-7.3481 -22.0434 0.6637
O S Si Nb Na La
72 6 12 9 6 3
Cartesian
2.4038 -2.4763 -2.5747
-1.9445 -0.2397 -5.4302
-0.1448 -8.9307 -2.5614
-5.1976 -20.9820 -4.3567
-2.2969 -12.2296 -4.9997
0.7796 -1.0729 -6.4795
1.1096 -22.4883 -0.6484
-4.3486 -17.1185 -6.3400
2.0261 -6.9248 -3.9389
-2.2599 -9.1545 -1.2872
1.1680 -19.9861 0.4625
1.9421 -14.7341 -2.0470
-4.2057 -15.6315 -0.7983
2.2956 -3.0937 -7.4967
-5.1096 -18.1505 -0.7195
-0.3819 -20.8239 -2.2213
4.6724 -3.2603 -3.9790
2.3090 -9.5314 -0.7338
1.5098 -12.0711 -4.2696
0.0361 -6.3202 -5.1997
-2.9796 -21.4091 -5.7607
-2.6037 -17.6282 -1.6037
0.0194 -18.3156 -0.8832
0.0193 -2.1638 -1.3903
-0.8966 -14.2377 -6.3177
-0.7435 -7.1876 0.0852
2.2773 -5.6890 -5.9969
-0.9822 -19.5812 -5.7870
-1.1392 -11.1084 -1.9959
-0.0240 -9.9353 -7.3926
-2.4676 -9.6961 -6.3392
6.3716 -6.6481 -1.1898
-7.2673 -20.3479 -6.0314
-4.6482 -12.7541 -1.1360
4.6893 -3.1366 -1.1655
0.1510 -4.7157 -0.0264
-4.8623 -11.4743 -6.2779
-3.3418 -22.6777 -3.4392
2.6650 -9.7353 -3.5442
3.9555 -7.4948 -2.0680
5.5695 -9.1804 -0.9776
-2.1825 -9.6242 -3.6243
1.4861 -8.0076 -6.0090
-6.2402 -7.8365 -6.2733
2.1426 -12.2352 -0.6942
-7.7092 -20.2178 -3.3766
-4.5593 -11.5288 -3.2292
-0.7432 -18.2720 -3.4750
-5.4877 -13.8408 -6.4130
-0.1163 -17.0270 -5.7495
1.9433 -17.6441 0.3712
-5.0906 -20.5973 0.5056
0.2682 -3.5927 -3.6193
-2.5218 -20.1304 -0.4315
0.4721 -0.8848 -3.6927
-4.5222 -9.0526 -4.7053
-3.6866 -22.4822 -0.5668
-4.8065 -17.0955 -3.0652
-2.4786 -5.4902 -3.5133
-2.7265 -5.4785 -6.5333
-2.9522 -20.0639 -3.3276
-4.0052 -0.9277 -6.4719
1.4053 -6.8092 -1.3290
-0.8270 -13.7968 -0.5525
-0.7187 -14.0715 -3.6361
-7.2146 -16.3436 -5.0008
-0.3374 -3.4608 -7.0776
-2.9085 -2.4424 -4.9173
-1.1983 -23.2808 -1.7279
-7.0504 -12.1287 -7.0967
-5.5315 -13.7734 -3.1506
-2.9768 -14.7994 -4.8241
-5.5980 -12.5524 -7.0723
-5.3638 -12.5110 -2.4288
0.7360 -18.5925 0.3802
-1.3661 -9.6989 -2.3578
1.4532 -6.6861 -5.3005
-3.1735 -1.0308 -5.2206
5.5937 -7.8998 -1.9803
0.1328 -22.3815 -1.9706
-3.5343 -21.1485 0.3617
0.6419 -6.3125 0.0705
2.6636 -11.0278 -4.6151
0.8133 -2.2984 -2.8919
-0.0531 -18.5571 -4.9352
0.7724 -2.4045 -7.4993
-4.1719 -17.1299 -1.5957
2.6519 -10.9644 0.0954
-1.7060 -13.8567 -4.8854
-3.5777 -21.3082 -4.2522
-6.7891 -6.5612 -7.6439
-6.9738 -21.6939 -4.5393
2.2627 -8.3209 -2.2231
-1.0075 -3.1342 -0.1252
-1.6950 -19.3750 -2.0784
-0.3438 -15.9020 -7.2203
-3.4072 -10.6554 -4.9950
4.2627 -1.7363 -2.4733
-6.2243 -19.0418 0.5499
-2.5428 -7.2733 -5.0187
0.5747 -12.5422 -7.3010
-3.0008 -23.5549 -7.0672
-0.7256 -16.1356 -2.3512
3.0702 -4.8623 -2.3277
-6.2542 -18.5278 -4.5070
-5.0497 -15.4983 -4.6615
0.6362 -12.7404 -2.3440
-1.2894 -4.1913 -5.1659
```

Summary:
The formation energy comes out at -2829 meV per atom. The value obtained for the energy with MP2020 corrections is -0.58893 Ry/atom. The space group is P1, No. 1. For the size of the total moment, the calculation gives 0.0 μB per formula unit.

=====

Question: What is the energy with MP2020 corrections in the first record?
Answer: -0.59196 Ry/atom

=====

Question: Which value of size of the total moment does entry 1 give?
Answer: 0.0 μB per formula unit

=====

Question: The highest energy with MP2020 corrections belongs to which entry?
Answer: Na2LaNb3Si4S2O24